Below is an optimized crystal structure of Mn6O5F7, with properties calculated at the PBE with a Hubbard U level.

Geometry as CIF:
```
data_Mn6O5F7
_chemical_formula_sum 'Mn12 O10 F14'
_cell_length_a 4.740
_cell_length_b 5.732
_cell_length_c 15.586
_cell_angle_alpha 89.93
_cell_angle_beta 89.91
_cell_angle_gamma 89.83
_space_group_name_H-M_alt 'P 1'
_space_group_IT_number 1
loop_
_space_group_symop_operation_xyz
'x,y,z'
loop_
_atom_site_label
_atom_site_fract_x
_atom_site_fract_y
_atom_site_fract_z
Mn1 0.000 0.000 0.000
Mn2 0.001 0.050 0.673
Mn3 0.029 0.340 0.507
Mn4 0.493 0.822 0.167
Mn5 0.498 0.559 0.005
Mn6 0.524 0.526 0.331
Mn7 0.525 0.841 0.501
Mn8 0.532 0.519 0.663
Mn9 0.537 0.842 0.831
Mn10 0.950 0.023 0.336
Mn11 0.961 0.351 0.169
Mn12 0.968 0.351 0.833
O1 0.284 0.795 0.060
O2 0.318 0.559 0.557
O3 0.707 0.780 0.273
O4 0.711 0.576 0.109
O5 0.714 0.785 0.942
O6 0.723 0.575 0.774
O7 0.768 0.291 0.281
O8 0.787 0.090 0.777
O9 0.797 0.081 0.451
O10 0.810 0.294 0.613
F1 0.216 0.051 0.223
F2 0.226 0.310 0.056
F3 0.235 0.078 0.886
F4 0.241 0.557 0.227
F5 0.245 0.566 0.894
F6 0.256 0.321 0.727
F7 0.261 0.054 0.570
F8 0.261 0.309 0.394
F9 0.274 0.799 0.387
F10 0.276 0.821 0.725
F11 0.743 0.305 0.952
F12 0.762 0.074 0.110
F13 0.762 0.794 0.613
F14 0.772 0.589 0.443
```

Properties
calculated density	4256	kg/m3
crystal system	triclinic
total DFT energy (no corrections)	-239.5	eV per cell
ΔE to the lowest computed polymorph	0.62	eV per formula unit

---

Below is an optimized crystal structure of Li2V5O10, with properties calculated at the PBE with a Hubbard U level.

Geometry as CIF:
```
data_Li2V5O10
_chemical_formula_sum 'Li4 V10 O20'
_cell_length_a 5.189
_cell_length_b 8.383
_cell_length_c 9.945
_cell_angle_alpha 111.74
_cell_angle_beta 102.67
_cell_angle_gamma 94.04
_space_group_name_H-M_alt 'P -1'
_space_group_IT_number 2
loop_
_space_group_symop_operation_xyz
'x,y,z'
'-x,-y,-z'
loop_
_atom_site_label
_atom_site_fract_x
_atom_site_fract_y
_atom_site_fract_z
Li1 0.004 0.326 0.225
Li2 0.481 0.178 0.283
V1 0.000 0.500 0.000
V2 0.014 0.718 0.320
V3 0.039 0.084 0.900
V4 0.472 0.413 0.599
V5 0.482 0.783 0.173
V6 0.500 0.000 0.500
O1 0.163 0.115 0.108
O2 0.201 0.486 0.677
O3 0.206 0.726 0.005
O4 0.212 0.321 0.894
O5 0.237 0.925 0.287
O6 0.269 0.577 0.202
O7 0.300 0.170 0.624
O8 0.314 0.010 0.826
O9 0.318 0.777 0.495
O10 0.326 0.389 0.393
```

Properties
calculated density	3682	kg/m3
crystal system	triclinic
total DFT energy (no corrections)	-250.1	eV per cell
ΔE to the lowest computed polymorph	0.03	eV per formula unit

---

Below is an optimized crystal structure of CaMn4Si5O15, with properties calculated at the PBE with a Hubbard U level.

Geometry as CIF:
```
data_CaMn4Si5O15
_chemical_formula_sum 'Ca2 Mn8 Si10 O30'
_cell_length_a 6.806
_cell_length_b 7.822
_cell_length_c 11.995
_cell_angle_alpha 105.70
_cell_angle_beta 92.42
_cell_angle_gamma 93.98
_space_group_name_H-M_alt 'P -1'
_space_group_IT_number 2
loop_
_space_group_symop_operation_xyz
'x,y,z'
'-x,-y,-z'
loop_
_atom_site_label
_atom_site_fract_x
_atom_site_fract_y
_atom_site_fract_z
Ca1 0.135 0.045 0.193
Mn1 0.296 0.305 0.478
Mn2 0.313 0.492 0.771
Mn3 0.375 0.683 0.055
Mn4 0.469 0.882 0.352
Si1 0.004 0.778 0.374
Si2 0.139 0.270 0.970
Si3 0.210 0.461 0.239
Si4 0.255 0.747 0.589
Si5 0.345 0.927 0.845
O1 0.017 0.578 0.278
O2 0.055 0.743 0.504
O3 0.081 0.744 0.087
O4 0.135 0.316 0.113
O5 0.159 0.929 0.352
O6 0.199 0.057 0.934
O7 0.201 0.865 0.721
O8 0.233 0.204 0.631
O9 0.245 0.327 0.317
O10 0.307 0.553 0.600
O11 0.310 0.401 0.936
O12 0.383 0.753 0.889
O13 0.395 0.601 0.232
O14 0.443 0.843 0.541
O15 0.462 0.954 0.177
```

Properties
calculated density	3474	kg/m3
crystal system	triclinic
total DFT energy (no corrections)	-392.4	eV per cell

---

Below is an optimized crystal structure of Ca3La5Mn7CrO24, with properties calculated at the PBE with a Hubbard U level.

Geometry as CIF:
```
data_Ca3La5Mn7CrO24
_chemical_formula_sum 'Ca3 La5 Mn7 Cr1 O24'
_cell_length_a 5.522
_cell_length_b 7.764
_cell_length_c 11.052
_cell_angle_alpha 90.07
_cell_angle_beta 90.04
_cell_angle_gamma 90.02
_space_group_name_H-M_alt 'P 1'
_space_group_IT_number 1
loop_
_space_group_symop_operation_xyz
'x,y,z'
loop_
_atom_site_label
_atom_site_fract_x
_atom_site_fract_y
_atom_site_fract_z
Ca1 0.000 0.000 0.000
Ca2 0.002 0.997 0.497
Ca3 0.567 0.498 0.249
La1 0.054 0.500 0.995
La2 0.059 0.497 0.485
La3 0.509 0.997 0.740
La4 0.510 0.999 0.239
La5 0.558 0.499 0.746
Mn1 0.034 0.245 0.743
Mn2 0.034 0.247 0.243
Mn3 0.034 0.751 0.244
Mn4 0.532 0.249 0.996
Mn5 0.533 0.751 0.995
Mn6 0.534 0.245 0.491
Mn7 0.535 0.749 0.491
Cr1 0.034 0.751 0.743
O1 0.017 0.501 0.211
O2 0.025 0.494 0.704
O3 0.047 0.997 0.282
O4 0.049 0.002 0.786
O5 0.255 0.207 0.105
O6 0.259 0.791 0.102
O7 0.259 0.791 0.603
O8 0.261 0.207 0.606
O9 0.307 0.291 0.857
O10 0.311 0.706 0.856
O11 0.312 0.289 0.354
O12 0.317 0.706 0.357
O13 0.519 0.500 0.033
O14 0.524 0.499 0.529
O15 0.552 0.996 0.455
O16 0.552 0.998 0.957
O17 0.753 0.787 0.631
O18 0.757 0.788 0.127
O19 0.759 0.210 0.129
O20 0.760 0.209 0.631
O21 0.801 0.292 0.879
O22 0.803 0.704 0.879
O23 0.805 0.710 0.383
O24 0.809 0.286 0.379
```

Properties
calculated density	5731	kg/m3
crystal system	triclinic
total DFT energy (no corrections)	-307.2	eV per cell

---

Below is an optimized crystal structure of FeP4O12, with properties calculated at the PBE with a Hubbard U level.

Geometry as CIF:
```
data_FeP4O12
_chemical_formula_sum 'Fe4 P16 O48'
_cell_length_a 12.818
_cell_length_b 7.940
_cell_length_c 10.217
_cell_angle_alpha 90.00
_cell_angle_beta 117.83
_cell_angle_gamma 90.00
_space_group_name_H-M_alt 'C 1 2/c 1'
_space_group_IT_number 15
loop_
_space_group_symop_operation_xyz
'x,y,z'
'-x,-y,-z'
'-x,y,-z+1/2'
'x,-y,z+1/2'
'x+1/2,y+1/2,z'
'-x+1/2,-y+1/2,-z'
'-x+1/2,y+1/2,-z+1/2'
'x+1/2,-y+1/2,z+1/2'
loop_
_atom_site_label
_atom_site_fract_x
_atom_site_fract_y
_atom_site_fract_z
Fe1 0.250 0.250 0.000
P1 0.008 0.245 0.015
P2 0.179 0.011 0.689
O1 0.004 0.409 0.417
O2 0.067 0.111 0.151
O3 0.074 0.241 0.927
O4 0.122 0.170 0.580
O5 0.228 0.067 0.846
O6 0.236 0.427 0.854
```

Properties
calculated density	2685	kg/m3
crystal system	monoclinic
total DFT energy (no corrections)	-474.3	eV per cell
ΔE to the lowest computed polymorph	0.39	eV per formula unit

---

Below is an optimized crystal structure of CeCrS2O, with properties calculated at the PBE with a Hubbard U level.

Geometry as CIF:
```
data_CeCrS2O
_chemical_formula_sum 'Ce4 Cr4 S8 O4'
_cell_length_a 11.304
_cell_length_b 3.778
_cell_length_c 8.027
_cell_angle_alpha 90.00
_cell_angle_beta 90.21
_cell_angle_gamma 90.00
_space_group_name_H-M_alt 'C 1 2/m 1'
_space_group_IT_number 12
loop_
_space_group_symop_operation_xyz
'x,y,z'
'-x,-y,-z'
'-x,y,-z'
'x,-y,z'
'x+1/2,y+1/2,z'
'-x+1/2,-y+1/2,-z'
'-x+1/2,y+1/2,-z'
'x+1/2,-y+1/2,z'
loop_
_atom_site_label
_atom_site_fract_x
_atom_site_fract_y
_atom_site_fract_z
Ce1 0.235 0.000 0.207
Cr1 0.000 0.000 0.500
Cr2 0.000 0.500 0.000
S1 0.049 0.000 0.798
S2 0.141 0.500 0.465
O1 0.174 0.500 0.067
```

Properties
calculated density	5275	kg/m3
crystal system	monoclinic
total DFT energy (no corrections)	-144.4	eV per cell

---

Below is an optimized crystal structure of Li2MnCo2O6, with properties calculated at the PBE with a Hubbard U level.

Geometry as CIF:
```
data_Li2MnCo2O6
_chemical_formula_sum 'Li8 Mn4 Co8 O24'
_cell_length_a 8.770
_cell_length_b 5.148
_cell_length_c 10.076
_cell_angle_alpha 90.00
_cell_angle_beta 90.00
_cell_angle_gamma 90.00
_space_group_name_H-M_alt 'C m c e'
_space_group_IT_number 64
_space_group_name_Hall '-C 2ac 2'
loop_
_atom_site_label
_atom_site_fract_x
_atom_site_fract_y
_atom_site_fract_z
Li1 0.250 0.103 0.250
Mn1 0.000 0.000 0.000
Co1 0.163 0.000 0.500
O1 0.000 0.179 0.598
O2 0.166 0.150 0.893
```

Properties
calculated density	4128	kg/m3
crystal system	orthorhombic
total DFT energy (no corrections)	-265.7	eV per cell
ΔE to the lowest computed polymorph	0.00	eV per formula unit

---

Below is an optimized crystal structure of Zn2CoSbO6, with properties calculated at the PBE with a Hubbard U level.

Geometry as CIF:
```
data_Zn2CoSbO6
_chemical_formula_sum 'Zn4 Co2 Sb2 O12'
_cell_length_a 5.277
_cell_length_b 7.703
_cell_length_c 5.280
_cell_angle_alpha 90.00
_cell_angle_beta 90.18
_cell_angle_gamma 90.00
_space_group_name_H-M_alt 'P 1 21/m 1'
_space_group_IT_number 11
loop_
_space_group_symop_operation_xyz
'x,y,z'
'-x,-y,-z'
'-x,y+1/2,-z'
'x,-y+1/2,z'
loop_
_atom_site_label
_atom_site_fract_x
_atom_site_fract_y
_atom_site_fract_z
Zn1 0.012 0.250 0.451
Zn2 0.478 0.750 0.018
Co1 0.000 0.000 0.000
Sb1 0.500 0.000 0.500
O1 0.108 0.750 0.917
O2 0.180 0.065 0.675
O3 0.330 0.066 0.175
O4 0.369 0.750 0.419
```

Properties
calculated density	6305	kg/m3
crystal system	monoclinic
total DFT energy (no corrections)	-107.2	eV per cell

---

Below is an optimized crystal structure of Y2FeSbO7, with properties calculated at the PBE with a Hubbard U level.

Geometry as CIF:
```
data_Y2FeSbO7
_chemical_formula_sum 'Y8 Fe4 Sb4 O28'
_cell_length_a 7.291
_cell_length_b 7.359
_cell_length_c 10.315
_cell_angle_alpha 90.00
_cell_angle_beta 90.00
_cell_angle_gamma 90.00
_space_group_name_H-M_alt 'I m m a'
_space_group_IT_number 74
_space_group_name_Hall '-I 2b 2'
loop_
_atom_site_label
_atom_site_fract_x
_atom_site_fract_y
_atom_site_fract_z
Y1 0.000 0.000 0.000
Y2 0.250 0.250 0.250
Fe1 0.250 0.250 0.750
Sb1 0.000 0.000 0.500
O1 0.000 0.250 0.127
O2 0.000 0.250 0.420
O3 0.000 0.250 0.838
O4 0.205 0.036 0.626
```

Properties
calculated density	5610	kg/m3
crystal system	orthorhombic
total DFT energy (no corrections)	-338.6	eV per cell

---

Below is an optimized crystal structure of Li2NiSn3P6O24, with properties calculated at the PBE with a Hubbard U level.

Geometry as CIF:
```
data_Li2NiSn3P6O24
_chemical_formula_sum 'Li6 Ni3 Sn9 P18 O72'
_cell_length_a 8.7775
_cell_length_b 8.7775
_cell_length_c 21.8775
_cell_angle_alpha 90.00
_cell_angle_beta 90.00
_cell_angle_gamma 120.00
_space_group_name_H-M_alt 'R 3'
_space_group_IT_number 146
_space_group_name_Hall 'R 3'
loop_
_atom_site_label
_atom_site_fract_x
_atom_site_fract_y
_atom_site_fract_z
Li1 0.0000 0.0000 0.0000
Li2 0.0000 0.0000 0.4815
Ni1 0.0000 0.0000 0.1286
Sn1 0.0000 0.0000 0.3368
Sn2 0.0000 0.0000 0.6261
Sn3 0.0000 0.0000 0.8384
P1 0.0007 0.2913 0.2305
P2 0.0038 0.7046 0.7324
O1 0.0102 0.2000 0.1733
O2 0.0098 0.8040 0.6733
O3 0.0152 0.8312 0.4010
O4 0.0206 0.1886 0.8996
O5 0.1353 0.4615 0.9580
O6 0.1392 0.6769 0.4571
O7 0.1670 0.4809 0.2288
O8 0.1681 0.6840 0.7315
```

Properties
calculated density	3408	kg/m3
crystal system	trigonal
total DFT energy (no corrections)	-718.2	eV per cell

---

Below is an optimized crystal structure of Mn2PO4, with properties calculated at the PBE with a Hubbard U level.

Geometry as CIF:
```
data_Mn2PO4
_chemical_formula_sum 'Mn8 P4 O16'
_cell_length_a 10.940
_cell_length_b 6.598
_cell_length_c 4.923
_cell_angle_alpha 90.00
_cell_angle_beta 90.00
_cell_angle_gamma 90.00
_space_group_name_H-M_alt 'P n m a'
_space_group_IT_number 62
loop_
_space_group_symop_operation_xyz
'x,y,z'
'-x,-y,-z'
'-x+1/2,-y,z+1/2'
'x+1/2,y,-z+1/2'
'x+1/2,-y+1/2,-z+1/2'
'-x+1/2,y+1/2,z+1/2'
'-x,y+1/2,-z'
'x,-y+1/2,z'
loop_
_atom_site_label
_atom_site_fract_x
_atom_site_fract_y
_atom_site_fract_z
Mn1 0.000 0.000 0.000
Mn2 0.196 0.250 0.434
P1 0.112 0.750 0.435
O1 0.026 0.250 0.666
O2 0.118 0.750 0.752
O3 0.172 0.561 0.304
```

Properties
calculated density	3829	kg/m3
crystal system	orthorhombic
total DFT energy (no corrections)	-209.0	eV per cell

---

Below is an optimized crystal structure of V2Cd2O7, with properties calculated at the PBE with a Hubbard U level.

Geometry as CIF:
```
data_V2Cd2O7
_chemical_formula_sum 'V4 Cd4 O14'
_cell_length_a 7.149
_cell_length_b 9.238
_cell_length_c 5.101
_cell_angle_alpha 90.00
_cell_angle_beta 103.49
_cell_angle_gamma 90.00
_space_group_name_H-M_alt 'C 1 2/m 1'
_space_group_IT_number 12
loop_
_space_group_symop_operation_xyz
'x,y,z'
'-x,-y,-z'
'-x,y,-z'
'x,-y,z'
'x+1/2,y+1/2,z'
'-x+1/2,-y+1/2,-z'
'-x+1/2,y+1/2,-z'
'x+1/2,-y+1/2,z'
loop_
_atom_site_label
_atom_site_fract_x
_atom_site_fract_y
_atom_site_fract_z
V1 0.226 0.000 0.406
Cd1 0.000 0.308 0.000
O1 0.000 0.000 0.500
O2 0.103 0.500 0.290
O3 0.234 0.155 0.218
```

Properties
calculated density	4448	kg/m3
crystal system	monoclinic
total DFT energy (no corrections)	-138.7	eV per cell